(1)
VOF3 | r2SCAN | optimized geometry Values from VASP.

Results
density: 2641 kg/m3
formation energy from the elements: -2736 meV/atom

Cell and atoms, written as Quantum ESPRESSO input:
```
&SYSTEM
  ibrav = 0, nat = 20, ntyp = 3
/
ATOMIC_SPECIES
V 50.94 V.upf
O 16.00 O.upf
F 19.00 F.upf
CELL_PARAMETERS angstrom
8.472 0.000 0.000
0.000 4.604 0.448
0.000 3.403 8.321
ATOMIC_POSITIONS crystal
V 0.725 0.851 0.540
V 0.775 0.851 0.040
V 0.225 0.149 0.960
V 0.275 0.149 0.460
O 0.894 0.904 0.893
O 0.606 0.904 0.393
O 0.394 0.096 0.607
O 0.106 0.096 0.107
F 0.234 0.791 0.944
F 0.266 0.791 0.444
F 0.909 0.768 0.487
F 0.655 0.542 0.728
F 0.155 0.458 0.772
F 0.409 0.232 0.013
F 0.591 0.768 0.987
F 0.845 0.542 0.228
F 0.345 0.458 0.272
F 0.091 0.232 0.513
F 0.734 0.209 0.556
F 0.766 0.209 0.056
```

***

(2)
VOF2 | r2SCAN | optimized geometry Values from VASP.

Results
density: 3592 kg/m3
formation energy from the elements: -2953 meV/atom

Cell and atoms, written as Quantum ESPRESSO input:
```
&SYSTEM
  ibrav = 0, nat = 24, ntyp = 3
/
ATOMIC_SPECIES
V 50.94 V.upf
O 16.00 O.upf
F 19.00 F.upf
CELL_PARAMETERS angstrom
-4.330 2.452 0.912
-0.082 -4.523 -2.266
-0.851 -5.859 11.722
ATOMIC_POSITIONS crystal
V 0.024 0.643 0.494
V 0.978 0.678 0.993
V 0.357 0.381 0.827
V 0.701 0.022 0.660
V 0.322 0.299 0.326
V 0.619 0.976 0.161
O 0.679 0.603 0.918
O 0.397 0.076 0.251
O 0.924 0.321 0.585
O 0.415 0.660 0.750
O 0.245 0.585 0.417
O 0.340 0.755 0.084
F 0.016 0.057 0.752
F 0.617 0.261 0.757
F 0.644 0.383 0.424
F 0.943 0.959 0.085
F 0.737 0.722 0.584
F 0.985 0.263 0.251
F 0.278 0.015 0.917
F 0.602 0.672 0.252
F 0.041 0.984 0.418
F 0.739 0.357 0.090
F 0.070 0.398 0.919
F 0.328 0.930 0.586
```

***

(3)
V2O3F3 | r2SCAN | optimized geometry Values from VASP.

Results
density: 3454 kg/m3
formation energy from the elements: -2762 meV/atom
offset from the most stable computed form: 0.010 eV per atom

Cell and atoms, written as Quantum ESPRESSO input:
```
&SYSTEM
  ibrav = 0, nat = 24, ntyp = 3
/
ATOMIC_SPECIES
V 50.94 V.upf
O 16.00 O.upf
F 19.00 F.upf
CELL_PARAMETERS angstrom
-5.138 -0.033 0.066
2.556 4.476 -0.047
0.086 -0.141 -13.021
ATOMIC_POSITIONS crystal
V 0.016 0.980 0.488
V 0.984 0.953 0.994
V 0.323 0.625 0.820
V 0.681 0.303 0.661
V 0.374 0.654 0.330
V 0.703 0.353 0.153
O 0.993 0.416 0.753
O 0.090 0.776 0.917
O 0.753 0.106 0.582
O 0.424 0.443 0.249
O 0.558 0.564 0.757
O 0.241 0.909 0.424
O 0.897 0.241 0.088
O 0.675 0.763 0.415
O 0.757 0.662 0.082
F 0.400 0.986 0.748
F 0.086 0.339 0.415
F 0.322 0.080 0.091
F 0.248 0.354 0.928
F 0.330 0.266 0.585
F 0.998 0.591 0.254
F 0.574 0.020 0.257
F 0.658 0.928 0.915
F 0.917 0.688 0.594
```

***

- formation energy from the elements of number 2 (VOF2)?
  -2953 meV/atom

***

- Which of these has the lowest density?
  VOF3

***

- Which value of density does entry 3 give?
  3454 kg/m3